(1)
The following is a PBE-GGA calculation of an optimized crystal structure of Gd2Zn17, from the Materials Project database.

Calculated values
Volume (A^3/atom): 16.35
Polymorph energy (0 for the lowest one) (meV/atom): 5
Total magnetic moment (μB per cell): 0.2
Space group: No. 63
Crystal system: orthorhombic

Cell: 8.698 9.082 9.082 Å, 120.00 90.00 90.00°
Sites, in units of the cell vectors:
1 Zn 0.000 0.500 0.500
2 Zn 0.482 0.162 0.324
3 Zn 0.750 0.035 0.364
4 Zn 0.483 0.162 0.838
5 Zn 0.518 0.838 0.676
6 Zn 0.750 0.035 0.671
7 Zn 0.500 0.500 0.500
8 Zn 0.518 0.324 0.162
9 Zn 0.750 0.329 0.965
10 Zn 0.517 0.838 0.162
11 Zn 0.250 0.965 0.329
12 Zn 0.500 0.500 0.000
13 Zn 0.750 0.635 0.670
14 Zn 0.098 0.667 0.333
15 Zn 0.018 0.162 0.324
16 Zn 0.902 0.333 0.667
17 Zn 0.982 0.838 0.676
18 Zn 0.598 0.333 0.667
19 Zn 0.482 0.676 0.838
20 Zn 0.250 0.670 0.635
21 Zn 0.250 0.965 0.636
22 Zn 0.402 0.667 0.333
23 Zn 0.017 0.162 0.838
24 Zn 0.983 0.838 0.162
25 Zn 0.000 0.500 0.000
26 Zn 0.982 0.324 0.162
27 Zn 0.018 0.676 0.838
28 Zn 0.250 0.364 0.035
29 Zn 0.250 0.671 0.035
30 Zn 0.250 0.365 0.330
31 Zn 0.500 0.000 0.500
32 Zn 0.750 0.636 0.965
33 Zn 0.750 0.330 0.365
34 Zn 0.000 0.000 0.500
35 Gd 0.250 0.333 0.667
36 Gd 0.750 0.667 0.333
37 Gd 0.750 0.000 0.000
38 Gd 0.250 0.000 0.000



(2)
The following is a PBE-GGA calculation of an optimized crystal structure of Gd2Zn17, from the Materials Project database.

Calculated values
Volume (A^3/atom): 16.32
Polymorph energy (0 for the lowest one) (meV/atom): 0
Space group: No. 166
Crystal system: trigonal

Cell: 6.820 6.820 6.820 Å, 82.60 82.60 82.60°
Sites, in units of the cell vectors:
1 Zn 0.000 0.704 0.296
2 Zn 0.000 0.500 0.000
3 Zn 0.649 0.161 0.649
4 Zn 0.900 0.900 0.900
5 Zn 0.351 0.351 0.839
6 Zn 0.100 0.100 0.100
7 Zn 0.500 0.000 0.000
8 Zn 0.296 0.704 0.000
9 Zn 0.704 0.000 0.296
10 Zn 0.351 0.839 0.351
11 Zn 0.000 0.000 0.500
12 Zn 0.649 0.649 0.161
13 Zn 0.704 0.296 0.000
14 Zn 0.839 0.351 0.351
15 Zn 0.000 0.296 0.704
16 Zn 0.296 0.000 0.704
17 Zn 0.161 0.649 0.649
18 Gd 0.335 0.335 0.335
19 Gd 0.665 0.665 0.665



(3)
The following is a PBE-GGA calculation of an optimized crystal structure of GdZn2, from the Materials Project database.

Calculated values
Volume (A^3/atom): 20.76
Energy (eV per atom): -5.923
Space group: No. 74
Crystal system: orthorhombic

Cell: 4.551 5.709 5.709 Å, 78.12 66.51 66.51°
Sites, in units of the cell vectors:
1 Zn 0.166 0.790 0.878
2 Zn 0.834 0.622 0.710
3 Zn 0.834 0.210 0.122
4 Zn 0.166 0.378 0.290
5 Gd 0.530 0.220 0.720
6 Gd 0.470 0.780 0.280



(4)
The following is a PBE-GGA calculation of an optimized crystal structure of GeH4, from the Materials Project database.

Calculated values
Volume (A^3/atom): 8.67
Energy (eV per atom): -3.313
Total magnetic moment (μB per cell): 0.0
Space group: No. 63
Crystal system: orthorhombic

Cell: 5.477 5.477 4.249 Å, 90.00 90.00 137.16°
Sites, in units of the cell vectors:
1 H 0.483 0.517 0.750
2 H 0.441 0.559 0.250
3 H 0.963 0.037 0.991
4 H 0.963 0.037 0.509
5 H 0.559 0.441 0.750
6 H 0.037 0.963 0.491
7 H 0.037 0.963 0.009
8 H 0.517 0.483 0.250
9 Ge 0.258 0.742 0.750
10 Ge 0.742 0.258 0.250



(5)
The following is a PBE-GGA calculation of an optimized crystal structure of GeH4, from the Materials Project database.

Calculated values
Volume (A^3/atom): 11.72
Energy (eV per atom): -3.383
Total magnetic moment (μB per cell): 0.0
Space group: No. 15
Crystal system: monoclinic

Cell: 5.009 5.009 4.735 Å, 87.83 87.83 98.77°
Sites, in units of the cell vectors:
1 H 0.131 0.946 0.806
2 H 0.869 0.054 0.194
3 H 0.311 0.403 0.904
4 H 0.403 0.311 0.404
5 H 0.597 0.689 0.596
6 H 0.946 0.131 0.306
7 H 0.054 0.869 0.694
8 H 0.689 0.597 0.096
9 Ge 0.386 0.614 0.250
10 Ge 0.614 0.386 0.750



(6)
The following is a PBE-GGA calculation of an optimized crystal structure of GeH4, from the Materials Project database.

Calculated values
Volume (A^3/atom): 13.35
Energy (eV per atom): -3.164
Total magnetic moment (μB per cell): 0.0
Space group: No. 65
Crystal system: orthorhombic

Cell: 3.584 3.584 5.206 Å, 90.00 90.00 92.82°
Sites, in units of the cell vectors:
1 H 0.000 0.500 0.500
2 H 0.577 0.577 0.000
3 H 0.500 0.000 0.500
4 H 0.423 0.423 0.000
5 Ge 0.500 0.500 0.500



(7)
The following is a PBE-GGA calculation of an optimized crystal structure of GeH4, from the Materials Project database.

Calculated values
Volume (A^3/atom): 17.78
Energy (eV per atom): -3.525
Space group: No. 13
Crystal system: monoclinic

Cell: 4.611 9.057 9.231 Å, 67.29 90.00 90.00°
Sites, in units of the cell vectors:
1 H 0.917 0.716 0.526
2 H 0.615 0.189 0.402
3 H 0.385 0.811 0.598
4 H 0.914 0.099 0.828
5 H 0.385 0.189 0.902
6 H 0.083 0.716 0.026
7 H 0.086 0.901 0.172
8 H 0.083 0.284 0.474
9 H 0.615 0.811 0.098
10 H 0.081 0.618 0.807
11 H 0.919 0.382 0.193
12 H 0.917 0.284 0.974
13 H 0.914 0.901 0.672
14 H 0.086 0.099 0.328
15 H 0.081 0.382 0.693
16 H 0.919 0.618 0.307
17 Ge 0.071 0.762 0.650
18 Ge 0.929 0.762 0.150
19 Ge 0.071 0.238 0.850
20 Ge 0.929 0.238 0.350



(8)
The following is a PBE-GGA calculation of an optimized crystal structure of GeH4, from the Materials Project database.

Calculated values
Volume (A^3/atom): 8.50
Energy (eV per atom): -3.310
Total magnetic moment (μB per cell): 0.0
Space group: No. 51
Crystal system: orthorhombic

Cell: 4.000 4.259 4.987 Å, 90.00 90.00 90.00°
Sites, in units of the cell vectors:
1 H 0.250 0.369 0.927
2 H 0.250 0.873 0.082
3 H 0.750 0.631 0.073
4 H 0.250 0.369 0.073
5 H 0.750 0.127 0.918
6 H 0.750 0.127 0.082
7 H 0.750 0.631 0.927
8 H 0.250 0.873 0.918
9 Ge 0.250 0.730 0.500
10 Ge 0.750 0.270 0.500



(9)
The following is a PBE-GGA calculation of an optimized crystal structure of Ge3H, from the Materials Project database.

Calculated values
Volume (A^3/atom): 15.70
Energy (eV per atom): -3.731
Total magnetic moment (μB per cell): 0.0
Space group: No. 225
Crystal system: cubic

Cell: 4.462 4.462 4.462 Å, 60.00 60.00 60.00°
Sites, in units of the cell vectors:
1 Ge 0.250 0.250 0.250
2 Ge 0.750 0.750 0.750
3 Ge 0.500 0.500 0.500
4 H 0.000 0.000 0.000



(10)
The following is a PBE-GGA calculation of an optimized crystal structure of GeH4, from the Materials Project database.

Calculated values
Volume (A^3/atom): 16.73
Energy (eV per atom): -3.533
Total magnetic moment (μB per cell): 0.0
Space group: No. 19
Crystal system: orthorhombic

Cell: 7.909 8.733 4.844 Å, 90.00 90.00 90.00°
Sites, in units of the cell vectors:
1 H 0.673 0.903 0.292
2 H 0.951 0.514 0.042
3 H 0.049 0.014 0.458
4 H 0.173 0.597 0.708
5 H 0.625 0.323 0.130
6 H 0.962 0.289 0.477
7 H 0.875 0.677 0.630
8 H 0.827 0.097 0.792
9 H 0.038 0.789 0.023
10 H 0.375 0.823 0.370
11 H 0.327 0.403 0.208
12 H 0.538 0.711 0.977
13 H 0.125 0.177 0.870
14 H 0.549 0.486 0.542
15 H 0.451 0.986 0.958
16 H 0.462 0.211 0.523
17 Ge 0.008 0.644 0.851
18 Ge 0.492 0.356 0.351
19 Ge 0.508 0.856 0.149
20 Ge 0.992 0.144 0.649



(11)
The following is a PBE-GGA calculation of an optimized crystal structure of K4GeH4N2O3, from the Materials Project database.

Calculated values
Volume (A^3/atom): 15.49
Energy (eV per atom): -4.851
Total magnetic moment (μB per cell): 0.0
Space group: No. 14
Crystal system: monoclinic

Cell: 6.536 11.113 12.443 Å, 73.72 90.00 90.00°
Sites, in units of the cell vectors:
1 K 0.621 0.806 0.822
2 K 0.622 0.488 0.853
3 K 0.106 0.633 0.886
4 K 0.394 0.633 0.386
5 K 0.378 0.512 0.147
6 K 0.121 0.194 0.678
7 K 0.122 0.512 0.647
8 K 0.821 0.152 0.402
9 K 0.894 0.367 0.114
10 K 0.878 0.488 0.353
11 K 0.606 0.367 0.614
12 K 0.679 0.152 0.902
13 K 0.879 0.806 0.322
14 K 0.179 0.848 0.598
15 K 0.321 0.848 0.098
16 K 0.379 0.194 0.178
17 N 0.701 0.872 0.508
18 N 0.201 0.128 0.992
19 N 0.775 0.107 0.166
20 N 0.799 0.872 0.008
21 N 0.725 0.107 0.666
22 N 0.299 0.128 0.492
23 N 0.275 0.893 0.334
24 N 0.225 0.893 0.834
25 H 0.806 0.026 0.671
26 H 0.427 0.112 0.542
27 H 0.073 0.112 0.042
28 H 0.194 0.974 0.329
29 H 0.819 0.929 0.060
30 H 0.306 0.974 0.829
31 H 0.919 0.073 0.192
32 H 0.927 0.888 0.958
33 H 0.419 0.927 0.308
34 H 0.081 0.927 0.808
35 H 0.573 0.888 0.458
36 H 0.681 0.929 0.560
37 H 0.319 0.071 0.440
38 H 0.694 0.026 0.171
39 H 0.581 0.073 0.692
40 H 0.181 0.071 0.940
41 Ge 0.305 0.303 0.401
42 Ge 0.805 0.697 0.099
43 Ge 0.695 0.697 0.599
44 Ge 0.195 0.303 0.901
45 O 0.768 0.609 0.506
46 O 0.622 0.692 0.205
47 O 0.378 0.308 0.795
48 O 0.052 0.657 0.157
49 O 0.232 0.391 0.494
50 O 0.732 0.609 0.006
51 O 0.948 0.343 0.843
52 O 0.268 0.391 0.994
53 O 0.122 0.308 0.295
54 O 0.552 0.343 0.343
55 O 0.878 0.692 0.705
56 O 0.448 0.657 0.657



(12)
The following is a PBE-GGA calculation of an optimized crystal structure of K3GeH3S3O2, from the Materials Project database.

Calculated values
Volume (A^3/atom): 20.16
Energy (eV per atom): -4.484
Total magnetic moment (μB per cell): 0.0
Space group: No. 2
Crystal system: triclinic

Cell: 6.803 7.549 10.154 Å, 87.93 98.19 110.38°
Sites, in units of the cell vectors:
1 K 0.251 0.238 0.442
2 K 0.606 0.122 0.774
3 K 0.236 0.360 0.052
4 K 0.749 0.762 0.558
5 K 0.764 0.640 0.948
6 K 0.394 0.878 0.226
7 S 0.265 0.778 0.912
8 S 0.730 0.202 0.450
9 S 0.340 0.394 0.744
10 S 0.660 0.606 0.256
11 S 0.270 0.798 0.550
12 S 0.735 0.222 0.088
13 H 0.860 0.416 0.623
14 H 0.064 0.940 0.828
15 H 0.936 0.060 0.172
16 H 0.940 0.871 0.236
17 H 0.140 0.584 0.377
18 H 0.060 0.129 0.764
19 O 0.962 0.004 0.790
20 O 0.098 0.504 0.294
21 O 0.902 0.496 0.706
22 O 0.038 0.996 0.210
23 Ge 0.805 0.385 0.276
24 Ge 0.195 0.615 0.724



(13)
The following is a PBE-GGA calculation of an optimized crystal structure of K3TbGe3H2O10, from the Materials Project database.

Calculated values
Volume (A^3/atom): 15.60
Energy (eV per atom): -6.058
Total magnetic moment (μB per cell): 0.0
Space group: No. 62
Crystal system: orthorhombic

Cell: 6.114 13.762 14.088 Å, 90.00 90.00 90.00°
Sites, in units of the cell vectors:
1 O 0.838 0.542 0.630
2 O 0.860 0.971 0.368
3 O 0.360 0.529 0.868
4 O 0.413 0.366 0.979
5 O 0.076 0.381 0.750
6 O 0.913 0.134 0.021
7 O 0.576 0.119 0.250
8 O 0.640 0.471 0.132
9 O 0.587 0.634 0.021
10 O 0.838 0.542 0.870
11 O 0.421 0.279 0.149
12 O 0.156 0.703 0.750
13 O 0.140 0.029 0.632
14 O 0.579 0.721 0.851
15 O 0.140 0.029 0.868
16 O 0.662 0.042 0.870
17 O 0.587 0.634 0.479
18 O 0.162 0.458 0.130
19 O 0.921 0.221 0.851
20 O 0.413 0.366 0.521
21 O 0.087 0.866 0.979
22 O 0.921 0.221 0.649
23 O 0.162 0.458 0.370
24 O 0.338 0.958 0.370
25 O 0.924 0.619 0.250
26 O 0.656 0.797 0.250
27 O 0.344 0.203 0.750
28 O 0.640 0.471 0.368
29 O 0.860 0.971 0.132
30 O 0.662 0.042 0.630
31 O 0.079 0.779 0.149
32 O 0.844 0.297 0.250
33 O 0.338 0.958 0.130
34 O 0.087 0.866 0.521
35 O 0.360 0.529 0.632
36 O 0.421 0.279 0.351
37 O 0.579 0.721 0.649
38 O 0.913 0.134 0.479
39 O 0.079 0.779 0.351
40 O 0.424 0.881 0.750
41 K 0.410 0.135 0.015
42 K 0.910 0.365 0.515
43 K 0.920 0.869 0.750
44 K 0.090 0.635 0.015
45 K 0.410 0.135 0.485
46 K 0.590 0.865 0.515
47 K 0.080 0.131 0.250
48 K 0.420 0.631 0.250
49 K 0.090 0.635 0.485
50 K 0.910 0.365 0.985
51 K 0.590 0.865 0.985
52 K 0.580 0.369 0.750
53 Ge 0.409 0.401 0.396
54 Ge 0.909 0.099 0.604
55 Ge 0.091 0.901 0.396
56 Ge 0.909 0.099 0.896
57 Ge 0.591 0.599 0.896
58 Ge 0.409 0.401 0.104
59 Ge 0.913 0.745 0.250
60 Ge 0.087 0.255 0.750
61 Ge 0.591 0.599 0.604
62 Ge 0.413 0.755 0.750
63 Ge 0.587 0.245 0.250
64 Ge 0.091 0.901 0.104
65 H 0.116 0.925 0.562
66 H 0.384 0.425 0.562
67 H 0.884 0.075 0.438
68 H 0.384 0.425 0.938
69 H 0.884 0.075 0.062
70 H 0.616 0.575 0.062
71 H 0.116 0.925 0.938
72 H 0.616 0.575 0.438
73 Tb 0.590 0.959 0.250
74 Tb 0.090 0.541 0.750
75 Tb 0.410 0.041 0.750
76 Tb 0.910 0.459 0.250